Record 1
This record from Materials Project describes Li5V3P8O29 after structural relaxation. The functional is GGA+U.

CIF file:
```
data_Li5V3P8O29
_chemical_formula_sum 'Li10 V6 P16 O58'
_cell_length_a 9.7794
_cell_length_b 9.7976
_cell_length_c 13.9857
_cell_angle_alpha 89.77
_cell_angle_beta 89.79
_cell_angle_gamma 60.06
_symmetry_space_group_name_H-M 'P 1'
_symmetry_Int_Tables_number 1
_symmetry_space_group_name_Hall 'P 1'
loop_
_atom_site_label
_atom_site_fract_x
_atom_site_fract_y
_atom_site_fract_z
Li1 0.0000 0.0000 0.0000
Li2 0.0057 0.5700 0.4966
Li3 0.2346 0.6619 0.0620
Li4 0.3283 0.3387 0.6174
Li5 0.4605 0.7586 0.6128
Li6 0.4693 0.3248 0.1185
Li7 0.5552 0.4374 0.4957
Li8 0.5651 0.5696 0.9982
Li9 0.9014 0.7592 0.1188
Li10 0.9214 0.8896 0.6168
V1 0.2297 0.2296 0.8137
V2 0.2368 0.0927 0.3050
V3 0.6673 0.2292 0.3100
V4 0.6678 0.6665 0.8078
V5 0.8014 0.6628 0.3060
V6 0.8032 0.0957 0.8048
P1 0.0048 0.5742 0.7181
P2 0.0075 0.9778 0.2175
P3 0.1513 0.4373 0.2158
P4 0.1514 0.9784 0.7129
P5 0.3169 0.8876 0.9011
P6 0.3192 0.3443 0.4015
P7 0.4626 0.3470 0.8984
P8 0.4634 0.7524 0.3959
P9 0.5493 0.5733 0.2137
P10 0.5538 0.4334 0.7153
P11 0.5650 0.9993 0.6870
P12 0.5668 0.9990 0.1847
P13 0.8988 0.3286 0.9302
P14 0.9040 0.3301 0.4279
P15 0.9154 0.8930 0.4008
P16 0.9198 0.7520 0.9011
O1 0.0050 0.6786 0.9923
O2 0.0153 0.8861 0.1283
O3 0.0270 0.8697 0.3094
O4 0.0284 0.6623 0.8087
O5 0.0461 0.3337 0.8825
O6 0.0498 0.1863 0.3777
O7 0.1429 0.1386 0.7353
O8 0.1518 0.0026 0.2220
O9 0.1525 0.2803 0.2262
O10 0.1535 0.4071 0.7194
O11 0.2259 0.4600 0.3140
O12 0.2261 0.8824 0.9857
O13 0.2315 0.4189 0.4928
O14 0.2353 0.8699 0.8059
O15 0.2431 0.4504 0.1334
O16 0.2440 0.8984 0.6262
O17 0.3178 0.3219 0.8920
O18 0.3187 0.0460 0.8874
O19 0.3185 0.9194 0.3924
O20 0.3294 0.1855 0.3810
O21 0.4180 0.1489 0.7317
O22 0.4213 0.9945 0.2331
O23 0.4411 0.6621 0.3063
O24 0.4424 0.4564 0.8064
O25 0.4548 0.4375 0.9874
O26 0.4613 0.6463 0.1231
O27 0.4744 0.6643 0.4867
O28 0.4783 0.4180 0.6255
O29 0.4847 0.3283 0.4013
O30 0.4864 0.7478 0.8995
O31 0.5567 0.1531 0.2249
O32 0.5604 0.0020 0.0781
O33 0.5602 0.0042 0.5803
O34 0.5614 0.8490 0.7276
O35 0.5715 0.5806 0.7147
O36 0.5747 0.4034 0.2218
O37 0.6152 0.7603 0.3789
O38 0.6155 0.1916 0.8865
O39 0.7054 0.5714 0.2266
O40 0.7142 0.2832 0.7346
O41 0.7207 0.9899 0.7254
O42 0.7216 0.8527 0.2231
O43 0.7455 0.4765 0.8906
O44 0.7489 0.3354 0.3911
O45 0.7547 0.0433 0.3794
O46 0.7623 0.7546 0.8883
O47 0.8542 0.1337 0.2275
O48 0.8564 0.5614 0.7357
O49 0.8947 0.9217 0.8935
O50 0.8962 0.7452 0.3970
O51 0.9062 0.3264 0.0366
O52 0.9077 0.4794 0.3880
O53 0.9097 0.3285 0.5345
O54 0.9111 0.1741 0.8903
O55 0.9799 0.5789 0.2159
O56 0.9835 0.0003 0.7142
O57 0.9868 0.9040 0.4916
O58 0.9948 0.6615 0.6274
```

Calculated values
For the energy above the most stable polymorph in this dataset, the calculation gives 3.4 meV per atom. The total energy is -7.03 eV per atom. As for the total energy after the MP2020 corrections: -7.586 eV/atom. Its magnetic moment is 2.00 μB/f.u. The calculated formation energy comes out at -252.53 kJ per mole of atoms.



Record 2
This record from Materials Project describes Li3V3P4O16 after structural relaxation. The functional is GGA+U.

CIF file:
```
data_Li3V3P4O16
_chemical_formula_sum 'Li6 V6 P8 O32'
_cell_length_a 6.1886
_cell_length_b 11.2874
_cell_length_c 8.7236
_cell_angle_alpha 90.00
_cell_angle_beta 100.84
_cell_angle_gamma 90.00
_symmetry_space_group_name_H-M 'P 1 21 1'
_symmetry_Int_Tables_number 4
_symmetry_space_group_name_Hall 'P 2yb'
loop_
_atom_site_label
_atom_site_fract_x
_atom_site_fract_y
_atom_site_fract_z
Li1 0.0912 0.0000 0.1533
Li2 0.1612 0.6962 0.4281
Li3 0.3497 0.9170 0.5648
V1 0.0792 0.3958 0.2254
V2 0.3865 0.6171 0.8366
V3 0.4025 0.2168 0.7632
P1 0.0651 0.7165 0.0886
P2 0.1316 0.4381 0.5853
P3 0.3650 0.1743 0.3975
P4 0.4570 0.8988 0.8987
O1 0.0115 0.8407 0.0152
O2 0.0810 0.8694 0.4202
O3 0.1050 0.6235 0.9679
O4 0.1221 0.1735 0.8252
O5 0.1358 0.5412 0.7056
O6 0.1525 0.4954 0.4273
O7 0.1610 0.2536 0.3430
O8 0.2364 0.9105 0.7820
O9 0.2762 0.7175 0.2206
O10 0.3398 0.3608 0.6479
O11 0.3505 0.1206 0.5594
O12 0.3631 0.0741 0.2735
O13 0.3718 0.4354 0.1997
O14 0.4133 0.7374 0.6054
O15 0.4641 0.9879 0.0314
O16 0.4900 0.7691 0.9656
```

Calculated values
For the energy above the most stable polymorph in this dataset, the calculation gives 57.0 meV per atom. The total energy is -7.18 eV per atom. As for the total energy after the MP2020 corrections: -7.799 eV/atom. Its magnetic moment is 6.00 μB/f.u. The calculated formation energy comes out at -256.00 kJ per mole of atoms.



Record 3
This record from Materials Project describes Li7V3P8O29 after structural relaxation. The functional is GGA+U.

CIF file:
```
data_Li7V3P8O29
_chemical_formula_sum 'Li14 V6 P16 O58'
_cell_length_a 9.8475
_cell_length_b 9.8522
_cell_length_c 13.9212
_cell_angle_alpha 89.85
_cell_angle_beta 89.71
_cell_angle_gamma 60.05
_symmetry_space_group_name_H-M 'P 1'
_symmetry_Int_Tables_number 1
_symmetry_space_group_name_Hall 'P 1'
loop_
_atom_site_label
_atom_site_fract_x
_atom_site_fract_y
_atom_site_fract_z
Li1 0.0000 0.0000 0.0000
Li2 0.9999 0.1340 0.4962
Li3 0.0003 0.5723 0.9452
Li4 0.0013 0.5558 0.4473
Li5 0.3396 0.3285 0.6192
Li6 0.4239 0.5809 0.4978
Li7 0.4297 0.1303 0.0023
Li8 0.5651 0.5707 0.9927
Li9 0.5728 0.0069 0.5010
Li10 0.5894 0.2995 0.0737
Li11 0.6749 0.2924 0.5719
Li12 0.7535 0.9126 0.1201
Li13 0.8953 0.3224 0.1216
Li14 0.8986 0.9140 0.6228
V1 0.1017 0.2331 0.3058
V2 0.1039 0.7983 0.8091
V3 0.2303 0.2332 0.8065
V4 0.2302 0.6662 0.3045
V5 0.6627 0.7952 0.3112
V6 0.6681 0.6661 0.8048
P1 0.0046 0.5656 0.6881
P2 0.3299 0.9057 0.9306
P3 0.3320 0.8944 0.4305
P4 0.3486 0.3262 0.4006
P5 0.3542 0.4529 0.8999
P6 0.4389 0.5446 0.7150
P7 0.4430 0.1448 0.2159
P8 0.5791 0.5464 0.2138
P9 0.5807 0.0072 0.7153
P10 0.7525 0.4522 0.3996
P11 0.7582 0.9146 0.9005
P12 0.8925 0.3228 0.9015
P13 0.8930 0.9141 0.4020
P14 0.9779 0.1484 0.7152
P15 0.9789 0.0031 0.2154
P16 0.9939 0.5730 0.1871
O1 0.0045 0.9793 0.7219
O2 0.0228 0.5610 0.5802
O3 0.0397 0.3410 0.8869
O4 0.0404 0.7505 0.3891
O5 0.1316 0.1516 0.7222
O6 0.1376 0.8525 0.2280
O7 0.1430 0.5673 0.2321
O8 0.1593 0.4207 0.7308
O9 0.1789 0.9069 0.8929
O10 0.1834 0.3473 0.3888
O11 0.1842 0.0449 0.3963
O12 0.1917 0.6041 0.8915
O13 0.2833 0.7012 0.7328
O14 0.2912 0.1408 0.2252
O15 0.3200 0.9368 0.0362
O16 0.3289 0.3108 0.9058
O17 0.3318 0.0504 0.8781
O18 0.3332 0.7475 0.3838
O19 0.3336 0.4897 0.4015
O20 0.3478 0.8729 0.5367
O21 0.4152 0.5683 0.2209
O22 0.4170 0.1562 0.7171
O23 0.4331 0.2336 0.4894
O24 0.4351 0.4652 0.6221
O25 0.4467 0.4299 0.7999
O26 0.4558 0.2381 0.3084
O27 0.4581 0.2213 0.1255
O28 0.4576 0.4520 0.9792
O29 0.4770 0.7534 0.8972
O30 0.4817 0.8978 0.3874
O31 0.5714 0.8593 0.7263
O32 0.5802 0.5642 0.7209
O33 0.5802 0.7013 0.2254
O34 0.5886 0.9787 0.2232
O35 0.6493 0.4523 0.4794
O36 0.6596 0.4594 0.1216
O37 0.6659 0.0018 0.9888
O38 0.6695 0.0125 0.6270
O39 0.6727 0.0220 0.8085
O40 0.6818 0.4321 0.2997
O41 0.7461 0.4849 0.9039
O42 0.7470 0.8944 0.4064
O43 0.7646 0.6039 0.3923
O44 0.7803 0.7501 0.8894
O45 0.8496 0.7202 0.2355
O46 0.8642 0.5563 0.7266
O47 0.8715 0.0191 0.3085
O48 0.8737 0.2350 0.8090
O49 0.8868 0.2221 0.6247
O50 0.8937 0.9983 0.1264
O51 0.9018 0.9999 0.4896
O52 0.9055 0.2283 0.9904
O53 0.9189 0.3111 0.4038
O54 0.9250 0.8972 0.9009
O55 0.9837 0.5973 0.0804
O56 0.9889 0.4239 0.2174
O57 0.9949 0.1498 0.2162
O58 0.9965 0.7210 0.7264
```

Calculated values
For the energy above the most stable polymorph in this dataset, the calculation gives 10.5 meV per atom. The total energy is -6.99 eV per atom. As for the total energy after the MP2020 corrections: -7.521 eV/atom. Its magnetic moment is 4.00 μB/f.u. The calculated formation energy comes out at -258.81 kJ per mole of atoms.



Record 4
This record from Materials Project describes Li7V16P24O96 after structural relaxation. The functional is GGA+U.

CIF file:
```
data_Li7V16P24O96
_chemical_formula_sum 'Li7 V16 P24 O96'
_cell_length_a 8.4529
_cell_length_b 8.6966
_cell_length_c 23.6569
_cell_angle_alpha 89.99
_cell_angle_beta 89.03
_cell_angle_gamma 89.98
_symmetry_space_group_name_H-M 'P 1'
_symmetry_Int_Tables_number 1
_symmetry_space_group_name_Hall 'P 1'
loop_
_atom_site_label
_atom_site_fract_x
_atom_site_fract_y
_atom_site_fract_z
Li1 0.0000 0.0000 0.0000
Li2 0.0012 0.0000 0.5001
Li3 0.3889 0.5648 0.8227
Li4 0.3898 0.5654 0.3225
Li5 0.4998 0.0646 0.2495
Li6 0.5019 0.0655 0.7503
Li7 0.8899 0.4999 0.5728
V1 0.4410 0.3138 0.6040
V2 0.4435 0.3138 0.1028
V3 0.4449 0.7462 0.7180
V4 0.4463 0.2460 0.3549
V5 0.4458 0.7458 0.2178
V6 0.4466 0.2459 0.8550
V7 0.4502 0.8135 0.4690
V8 0.4522 0.8148 0.9686
V9 0.9409 0.7518 0.3538
V10 0.9409 0.7516 0.8543
V11 0.9445 0.3194 0.4680
V12 0.9444 0.3231 0.9706
V13 0.9458 0.8105 0.1044
V14 0.9465 0.8195 0.6052
V15 0.9482 0.2521 0.2184
V16 0.9502 0.2523 0.7194
P1 0.0829 0.6716 0.4822
P2 0.0842 0.6688 0.9822
P3 0.0861 0.3988 0.8384
P4 0.0873 0.4000 0.3369
P5 0.1621 0.5328 0.6576
P6 0.1643 0.5315 0.1573
P7 0.2280 0.0338 0.1646
P8 0.2293 0.0329 0.6652
P9 0.3036 0.1655 0.9858
P10 0.3040 0.1658 0.4856
P11 0.3089 0.8939 0.3403
P12 0.3087 0.8944 0.8405
P13 0.5820 0.3934 0.2322
P14 0.5826 0.3939 0.7324
P15 0.5876 0.6657 0.5871
P16 0.5894 0.6650 0.0873
P17 0.6619 0.5326 0.4075
P18 0.6626 0.5325 0.9077
P19 0.7293 0.0328 0.4151
P20 0.7315 0.0341 0.9152
P21 0.8036 0.9005 0.2354
P22 0.8044 0.8998 0.7358
P23 0.8088 0.1706 0.0902
P24 0.8089 0.1716 0.5906
O1 0.0234 0.6152 0.6269
O2 0.0290 0.6274 0.1283
O3 0.0328 0.5094 0.5035
O4 0.0445 0.5059 0.0021
O5 0.0446 0.7894 0.0309
O6 0.0449 0.7919 0.5297
O7 0.0469 0.3516 0.9001
O8 0.0488 0.3528 0.3990
O9 0.0671 0.5755 0.8316
O10 0.0682 0.5761 0.3304
O11 0.0827 0.4216 0.1985
O12 0.0864 0.4195 0.6997
O13 0.1258 0.1956 0.4969
O14 0.1259 0.9187 0.1299
O15 0.1268 0.1943 0.9980
O16 0.1297 0.1104 0.2120
O17 0.1301 0.1097 0.7124
O18 0.1330 0.8863 0.3559
O19 0.1332 0.8859 0.8563
O20 0.1345 0.9166 0.6306
O21 0.2572 0.6497 0.6919
O22 0.2585 0.6789 0.4663
O23 0.2596 0.6847 0.9665
O24 0.2609 0.4563 0.1097
O25 0.2614 0.4559 0.6101
O26 0.2610 0.6442 0.1925
O27 0.2652 0.3698 0.3254
O28 0.2646 0.3695 0.8266
O29 0.3036 0.1452 0.1224
O30 0.3057 0.1465 0.6228
O31 0.3235 0.9896 0.4919
O32 0.3255 0.9899 0.9927
O33 0.3417 0.2122 0.4230
O34 0.3422 0.2125 0.9238
O35 0.3472 0.7738 0.2924
O36 0.3465 0.7737 0.7928
O37 0.3581 0.0565 0.8189
O38 0.3587 0.0557 0.3187
O39 0.3650 0.9478 0.1946
O40 0.3683 0.9506 0.6957
O41 0.4104 0.2588 0.5240
O42 0.4113 0.2596 0.0247
O43 0.4164 0.8503 0.3895
O44 0.4175 0.8524 0.8896
O45 0.4747 0.3510 0.6830
O46 0.4757 0.3504 0.1823
O47 0.4807 0.7586 0.5484
O48 0.4849 0.7596 0.0489
O49 0.5232 0.4503 0.3768
O50 0.5238 0.4503 0.8772
O51 0.5323 0.5561 0.7537
O52 0.5331 0.5551 0.2538
O53 0.5433 0.2727 0.2796
O54 0.5444 0.2737 0.7800
O55 0.5499 0.7123 0.6494
O56 0.5513 0.7099 0.1501
O57 0.5682 0.4894 0.5806
O58 0.5708 0.4907 0.0804
O59 0.5853 0.6477 0.9494
O60 0.5860 0.6459 0.4497
O61 0.6255 0.8703 0.2467
O62 0.6260 0.8696 0.7470
O63 0.6302 0.9553 0.4622
O64 0.6314 0.9563 0.9624
O65 0.6329 0.1772 0.1065
O66 0.6330 0.1791 0.6062
O67 0.6344 0.1492 0.3805
O68 0.6346 0.1488 0.8804
O69 0.7568 0.4161 0.4420
O70 0.7571 0.4182 0.9427
O71 0.7580 0.3857 0.2165
O72 0.7581 0.3867 0.7165
O73 0.7613 0.6096 0.3601
O74 0.7612 0.6101 0.8603
O75 0.7656 0.6957 0.5755
O76 0.7677 0.7062 0.0768
O77 0.8058 0.9184 0.8730
O78 0.8055 0.9193 0.3727
O79 0.8218 0.0760 0.2421
O80 0.8228 0.0760 0.7419
O81 0.8410 0.8545 0.1724
O82 0.8419 0.8535 0.6731
O83 0.8451 0.2834 0.0413
O84 0.8468 0.2921 0.5427
O85 0.8590 0.0098 0.5690
O86 0.8609 0.0055 0.0706
O87 0.8680 0.1149 0.4456
O88 0.8705 0.1153 0.9449
O89 0.9099 0.8066 0.2738
O90 0.9112 0.8068 0.7742
O91 0.9152 0.2128 0.1402
O92 0.9161 0.2151 0.6398
O93 0.9743 0.7153 0.9340
O94 0.9752 0.7144 0.4327
O95 0.9813 0.3074 0.7984
O96 0.9818 0.3067 0.2974
```

Calculated values
The total energy is -7.32 eV per atom. As for the total energy after the MP2020 corrections: -7.968 eV/atom. Its magnetic moment is 15.01 μB/f.u. The calculated formation energy comes out at -253.59 kJ per mole of atoms.



Record 5
This record from Materials Project describes Li2VP2O8 after structural relaxation. The functional is GGA+U.

CIF file:
```
data_Li2VP2O8
_chemical_formula_sum 'Li4 V2 P4 O16'
_cell_length_a 5.8527
_cell_length_b 4.8364
_cell_length_c 10.0358
_cell_angle_alpha 90.00
_cell_angle_beta 90.58
_cell_angle_gamma 90.00
_symmetry_space_group_name_H-M 'P 1 c 1'
_symmetry_Int_Tables_number 7
_symmetry_space_group_name_Hall 'P -2yc'
loop_
_atom_site_label
_atom_site_fract_x
_atom_site_fract_y
_atom_site_fract_z
Li1 0.0000 0.2173 0.0000
Li2 0.1893 0.2457 0.7063
V1 0.5175 0.2808 0.4444
P1 0.0136 0.2994 0.3162
P2 0.5085 0.1496 0.1222
O1 0.0113 0.4183 0.1765
O2 0.0202 0.0107 0.8274
O3 0.2325 0.4406 0.3899
O4 0.3043 0.0117 0.5551
O5 0.5007 0.4651 0.1021
O6 0.5112 0.0756 0.2724
O7 0.7060 0.0050 0.0447
O8 0.8048 0.4291 0.3976
```

Calculated values
For the energy above the most stable polymorph in this dataset, the calculation gives 19.7 meV per atom. The total energy is -6.96 eV per atom. As for the total energy after the MP2020 corrections: -7.509 eV/atom. Its magnetic moment is 1.00 μB/f.u. The calculated formation energy comes out at -254.62 kJ per mole of atoms.



- The highest total energy after the MP2020 corrections belongs to which entry?
  Li2VP2O8



- Look up the magnetic moment of the second one.
  6.00 μB/f.u.